No. 1
Computed, not measured: a relaxed structure of Pr3S4 at the GGA-PBE level of DFT.

Values from the calculation:
The total DFT energy (no corrections) comes out at -6.424 eV per atom. For the formation energy, the calculation gives -2299.2 meV per atom.

Cell: 7.4905 7.4905 7.4905 Å, 109.47 109.47 109.47°
Atoms (fractional coordinates):
Pr 0.7500 0.8750 0.1250
Pr 0.3750 0.2500 0.6250
Pr 0.2500 0.6250 0.3750
Pr 0.8750 0.1250 0.7500
Pr 0.6250 0.3750 0.2500
Pr 0.1250 0.7500 0.8750
S 0.6504 0.6504 0.6504
S 0.8496 0.5000 0.0000
S 0.5000 0.0000 0.8496
S 0.3496 0.5000 0.0000
S 0.0000 0.8496 0.5000
S 0.0000 0.3496 0.5000
S 0.5000 0.0000 0.3496
S 0.1504 0.1504 0.1504



No. 2
Computed, not measured: a relaxed structure of Pr10S19 at the GGA-PBE level of DFT.

Values from the calculation:
The total DFT energy (no corrections) comes out at -6.154 eV per atom. For the formation energy, the calculation gives -2125.2 meV per atom.

Cell: 9.0340 9.0340 16.3369 Å, 90.00 90.00 90.00°
Atoms (fractional coordinates):
Pr 0.5000 0.0000 0.6358
Pr 0.1042 0.1944 0.6475
Pr 0.6042 0.6944 0.8525
Pr 0.0983 0.2092 0.1276
Pr 0.5983 0.7092 0.3724
Pr 0.1944 0.8958 0.3525
Pr 0.5000 0.0000 0.1358
Pr 0.0000 0.5000 0.8642
Pr 0.8056 0.1042 0.3525
Pr 0.2908 0.5983 0.6276
Pr 0.3958 0.3056 0.8525
Pr 0.4017 0.2908 0.3724
Pr 0.9017 0.7908 0.1276
Pr 0.8958 0.8056 0.6475
Pr 0.6944 0.3958 0.1475
Pr 0.2092 0.9017 0.8724
Pr 0.7092 0.4017 0.6276
Pr 0.0000 0.5000 0.3642
Pr 0.3056 0.6042 0.1475
Pr 0.7908 0.0983 0.8724
S 0.0000 0.5000 0.6840
S 0.7198 0.9465 0.5010
S 0.6396 0.1714 0.5000
S 0.5982 0.7008 0.6759
S 0.5535 0.2198 0.0010
S 0.7008 0.4018 0.3241
S 0.0535 0.7198 0.4990
S 0.9018 0.7992 0.8241
S 0.6714 0.8604 0.0000
S 0.7802 0.5535 0.9990
S 0.1396 0.6714 0.0000
S 0.0000 0.0000 0.0000
S 0.8982 0.8030 0.3120
S 0.2008 0.9018 0.1759
S 0.3030 0.6018 0.8120
S 0.2198 0.4465 0.9990
S 0.1018 0.1970 0.3120
S 0.2992 0.5982 0.3241
S 0.2802 0.0535 0.5010
S 0.8604 0.3286 0.0000
S 0.9465 0.2802 0.4990
S 0.0982 0.2008 0.8241
S 0.3286 0.1396 0.0000
S 0.5000 0.0000 0.3160
S 0.1714 0.3604 0.5000
S 0.0000 0.5000 0.1840
S 0.8286 0.6396 0.5000
S 0.3982 0.3030 0.1880
S 0.3604 0.8286 0.5000
S 0.6018 0.6970 0.1880
S 0.4465 0.7802 0.0010
S 0.7992 0.0982 0.1759
S 0.1970 0.8982 0.6880
S 0.6970 0.3982 0.8120
S 0.4018 0.2992 0.6759
S 0.5000 0.0000 0.8160
S 0.5000 0.5000 0.5000
S 0.8030 0.1018 0.6880



No. 3
Computed, not measured: a relaxed structure of Pr5S8 at the GGA-PBE level of DFT.

Values from the calculation:
The total DFT energy (no corrections) comes out at -6.134 eV per atom. For the formation energy, the calculation gives -2058.8 meV per atom. Its magnetization is 1.00 μB per cell.

Cell: 8.4473 8.4473 8.4473 Å, 60.00 60.00 60.00°
Atoms (fractional coordinates):
Pr 0.6139 0.1287 0.1287
Pr 0.1287 0.6139 0.1287
Pr 0.1287 0.1287 0.6139
Pr 0.1287 0.1287 0.1287
Pr 0.7500 0.7500 0.7500
S 0.3501 0.8833 0.8833
S 0.8833 0.3501 0.8833
S 0.8833 0.8833 0.3501
S 0.8833 0.8833 0.8833
S 0.9114 0.3629 0.3629
S 0.3629 0.9114 0.3629
S 0.3629 0.3629 0.9114
S 0.3629 0.3629 0.3629